First-principles (r²SCAN) data for a geometry-optimized Pr3RuBr3 structure, as listed in Materials Project.

abc: 8.9673 4.2357 12.1481
angles: 90.00 92.88 90.00
Fractional positions:
Pr 0.1062 0.2500 0.3850
Pr 0.1206 0.2500 0.8405
Pr 0.3199 0.7500 0.6208
Pr 0.6801 0.2500 0.3792
Pr 0.8794 0.7500 0.1595
Pr 0.8938 0.7500 0.6150
Ru 0.1101 0.2500 0.6222
Ru 0.8899 0.7500 0.3778
Br 0.1201 0.2500 0.1144
Br 0.3588 0.7500 0.8749
Br 0.3963 0.7500 0.3699
Br 0.6037 0.2500 0.6301
Br 0.6412 0.2500 0.1251
Br 0.8799 0.7500 0.8856

Properties
Calculated density = 5.5 g/cm³
Total energy = -163.5 eV/f.u.

First-principles (r²SCAN) data for a geometry-optimized CeSe structure, as listed in Materials Project.

abc: 6.0419 6.0419 6.0419
angles: 90.00 90.00 90.00
Fractional positions:
Ce 0.0000 0.0000 0.0000
Ce 0.0000 0.5000 0.5000
Ce 0.5000 0.0000 0.5000
Ce 0.5000 0.5000 0.0000
Se 0.0000 0.0000 0.5000
Se 0.0000 0.5000 0.0000
Se 0.5000 0.0000 0.0000
Se 0.5000 0.5000 0.5000

Properties
Calculated density = 6.6 g/cm³
Total energy = -49.5 eV/f.u.

First-principles (r²SCAN) data for a geometry-optimized Nd4CdPd structure, as listed in Materials Project.

abc: 9.9921 9.9921 9.9921
angles: 60.00 60.00 60.00
Fractional positions:
Nd 0.0575 0.0575 0.4425
Nd 0.0575 0.4425 0.0575
Nd 0.0575 0.4425 0.4425
Nd 0.1855 0.1855 0.8145
Nd 0.1855 0.8145 0.1855
Nd 0.1855 0.8145 0.8145
Nd 0.1951 0.6016 0.6016
Nd 0.4425 0.0575 0.0575
Nd 0.4425 0.0575 0.4425
Nd 0.4425 0.4425 0.0575
Nd 0.6016 0.1951 0.6016
Nd 0.6016 0.6016 0.1951
Nd 0.6016 0.6016 0.6016
Nd 0.8145 0.1855 0.1855
Nd 0.8145 0.1855 0.8145
Nd 0.8145 0.8145 0.1855
Cd 0.5105 0.8298 0.8298
Cd 0.8298 0.5105 0.8298
Cd 0.8298 0.8298 0.5105
Cd 0.8298 0.8298 0.8298
Pd 0.3939 0.3939 0.3939
Pd 0.3939 0.3939 0.8184
Pd 0.3939 0.8184 0.3939
Pd 0.8184 0.3939 0.3939

Properties
Calculated density = 7.5 g/cm³
Total energy = -163.3 eV/f.u.

First-principles (r²SCAN) data for a geometry-optimized LuSnRh structure, as listed in Materials Project.

abc: 7.5155 7.5155 3.6825
angles: 90.00 90.00 120.00
Fractional positions:
Lu 0.0000 0.5980 0.0000
Lu 0.4020 0.4020 0.0000
Lu 0.5980 0.0000 0.0000
Sn 0.0000 0.2669 0.5000
Sn 0.2669 0.0000 0.5000
Sn 0.7331 0.7331 0.5000
Rh 0.0000 0.0000 0.0000
Rh 0.3333 0.6667 0.5000
Rh 0.6667 0.3333 0.5000

Properties
Calculated density = 11.0 g/cm³
Total energy = -89.9 eV/f.u.

First-principles (r²SCAN) data for a geometry-optimized SiO2 structure, as listed in Materials Project.

abc: 4.9580 8.7413 8.6786
angles: 90.00 90.00 90.00
Fractional positions:
Si 0.0663 0.1741 0.1813
Si 0.0663 0.1741 0.8187
Si 0.4337 0.6741 0.3187
Si 0.4337 0.6741 0.6813
Si 0.5663 0.3259 0.3187
Si 0.5663 0.3259 0.6813
Si 0.9337 0.8259 0.1813
Si 0.9337 0.8259 0.8187
O 0.0000 0.0000 0.2284
O 0.0000 0.0000 0.7716
O 0.0136 0.1987 0.0000
O 0.1232 0.7111 0.2784
O 0.1232 0.7111 0.7216
O 0.3768 0.2111 0.2216
O 0.3768 0.2111 0.7784
O 0.4864 0.6987 0.5000
O 0.5000 0.5000 0.2716
O 0.5000 0.5000 0.7284
O 0.5136 0.3013 0.5000
O 0.6232 0.7889 0.2216
O 0.6232 0.7889 0.7784
O 0.8768 0.2889 0.2784
O 0.8768 0.2889 0.7216
O 0.9864 0.8013 0.0000

Properties
Calculated density = 2.1 g/cm³
Total energy = -29.8 eV/f.u.

First-principles (r²SCAN) data for a geometry-optimized Hf23Se25 structure, as listed in Materials Project.

abc: 7.9033 7.9647 15.8033
angles: 98.30 90.18 101.93
Fractional positions:
Hf 0.0000 0.0000 0.0000
Hf 0.0278 0.1916 0.6471
Hf 0.0742 0.3954 0.2816
Hf 0.1149 0.5974 0.9214
Hf 0.1580 0.7966 0.5640
Hf 0.2310 0.1930 0.8438
Hf 0.2803 0.3991 0.4781
Hf 0.3119 0.5950 0.1225
Hf 0.3547 0.7945 0.7605
Hf 0.4018 0.0031 0.4041
Hf 0.4335 0.1960 0.0395
Hf 0.5157 0.5961 0.3231
Hf 0.5555 0.7971 0.9617
Hf 0.5915 0.9947 0.6027
Hf 0.6394 0.1926 0.2456
Hf 0.6791 0.3995 0.8841
Hf 0.7138 0.5967 0.5197
Hf 0.7476 0.7917 0.1670
Hf 0.7967 0.9963 0.8027
Hf 0.8312 0.1948 0.4414
Hf 0.8786 0.3971 0.0846
Hf 0.9191 0.5920 0.7269
Hf 0.9500 0.7934 0.3632
Se 0.0304 0.6655 0.2030
Se 0.0696 0.8617 0.8422
Se 0.1097 0.0655 0.4838
Se 0.1495 0.2605 0.1241
Se 0.1943 0.4628 0.7623
Se 0.2277 0.6675 0.4023
Se 0.2691 0.8615 0.0437
Se 0.3095 0.0641 0.6825
Se 0.3460 0.2611 0.3201
Se 0.3893 0.4634 0.9617
Se 0.4286 0.6601 0.6032
Se 0.4620 0.8611 0.2423
Se 0.5087 0.0646 0.8813
Se 0.5493 0.2640 0.5255
Se 0.5864 0.4565 0.1624
Se 0.6264 0.6627 0.8019
Se 0.6677 0.8634 0.4432
Se 0.7096 0.0617 0.0833
Se 0.7418 0.2609 0.7224
Se 0.7891 0.4620 0.3623
Se 0.8298 0.6673 0.0053
Se 0.8664 0.8558 0.6429
Se 0.9135 0.0633 0.2827
Se 0.9480 0.2650 0.9236
Se 0.9898 0.4608 0.5636

Properties
Calculated density = 10.5 g/cm³
Total energy = -1459.7 eV/f.u.

First-principles (r²SCAN) data for a geometry-optimized Ho3Cu4Sn4 structure, as listed in Materials Project.

abc: 8.3592 8.3592 6.9001
angles: 114.18 114.18 30.72
Fractional positions:
Ho 0.0000 0.0000 0.0000
Ho 0.1316 0.1316 0.6368
Ho 0.8684 0.8684 0.3632
Cu 0.3249 0.3249 0.6341
Cu 0.3330 0.3330 0.0175
Cu 0.6670 0.6670 0.9825
Cu 0.6751 0.6751 0.3659
Sn 0.2164 0.2164 0.2101
Sn 0.4966 0.4966 0.6996
Sn 0.5034 0.5034 0.3004
Sn 0.7836 0.7836 0.7899

Properties
Calculated density = 9.1 g/cm³
Total energy = -247.1 eV/f.u.

First-principles (r²SCAN) data for a geometry-optimized LiTaF6 structure, as listed in Materials Project.

abc: 5.4214 5.4214 5.4214
angles: 56.95 56.95 56.95
Fractional positions:
Li 0.0000 0.0000 0.0000
Ta 0.5000 0.5000 0.5000
F 0.1497 0.7454 0.3610
F 0.2546 0.6390 0.8503
F 0.3610 0.1497 0.7454
F 0.6390 0.8503 0.2546
F 0.7454 0.3610 0.1497
F 0.8503 0.2546 0.6390

Properties
Calculated density = 4.8 g/cm³
Total energy = -97.4 eV/f.u.

First-principles (r²SCAN) data for a geometry-optimized KAu2O4 structure, as listed in Materials Project.

abc: 6.9470 6.9470 5.5044
angles: 90.00 90.00 90.00
Fractional positions:
K 0.0000 0.5000 0.0000
K 0.5000 0.0000 0.5000
Au 0.0000 0.2038 0.5000
Au 0.0000 0.7962 0.5000
Au 0.2038 0.0000 0.0000
Au 0.7962 0.0000 0.0000
O 0.2065 0.2065 0.2500
O 0.2065 0.2065 0.7500
O 0.2065 0.7935 0.2500
O 0.2065 0.7935 0.7500
O 0.7935 0.2065 0.2500
O 0.7935 0.2065 0.7500
O 0.7935 0.7935 0.2500
O 0.7935 0.7935 0.7500

Properties
Calculated density = 6.2 g/cm³
Total energy = -134.2 eV/f.u.

First-principles (r²SCAN) data for a geometry-optimized EuAs2Pd2 structure, as listed in Materials Project.

abc: 4.3347 4.3349 5.9968
angles: 111.11 111.08 90.13
Fractional positions:
Eu 0.0000 0.0000 0.0000
As 0.3760 0.3786 0.7578
As 0.6240 0.6214 0.2422
Pd 0.2537 0.7494 0.5009
Pd 0.7463 0.2506 0.4991

Properties
Calculated density = 8.8 g/cm³
Total energy = -118.2 eV/f.u.

First-principles (r²SCAN) data for a geometry-optimized Er3Ru2 structure, as listed in Materials Project.

abc: 7.5144 7.5144 4.6382
angles: 90.00 90.00 120.00
Fractional positions:
Er 0.0791 0.6949 0.2500
Er 0.3051 0.3842 0.2500
Er 0.3842 0.0791 0.7500
Er 0.6158 0.9209 0.2500
Er 0.6949 0.6158 0.7500
Er 0.9209 0.3051 0.7500
Ru 0.0000 0.0000 0.0000
Ru 0.0000 0.0000 0.5000
Ru 0.3333 0.6667 0.7500
Ru 0.6667 0.3333 0.2500

Properties
Calculated density = 10.3 g/cm³
Total energy = -154.3 eV/f.u.

First-principles (r²SCAN) data for a geometry-optimized BaAs2Rh2 structure, as listed in Materials Project.

abc: 4.0612 4.0612 13.0603
angles: 90.00 90.00 90.00
Fractional positions:
Ba 0.0000 0.0000 0.0000
Ba 0.5000 0.5000 0.5000
As 0.0000 0.0000 0.3548
As 0.0000 0.0000 0.6452
As 0.5000 0.5000 0.1452
As 0.5000 0.5000 0.8548
Rh 0.0000 0.5000 0.2500
Rh 0.0000 0.5000 0.7500
Rh 0.5000 0.0000 0.2500
Rh 0.5000 0.0000 0.7500

Properties
Calculated density = 7.6 g/cm³
Total energy = -108.7 eV/f.u.